Compound: Sr3RhN3
Source: the Materials Project database
Functional: PBE-GGA
Structure: optimized geometry

a b c (Å): 7.7278 7.7278 5.3545
angles (deg): 90.00 90.00 120.00
Last column: nearest neighbours and their distance in Å.
Sites, in units of the cell vectors:
Sr1 0.0926 0.3639 0.2500  5 N 2.66-2.89
Sr2 0.2713 0.9074 0.2500  5 N 2.66-2.89
Sr3 0.3639 0.2713 0.7500  5 N 2.66-2.89
Sr4 0.6361 0.7287 0.2500  5 N 2.66-2.89
Sr5 0.7287 0.0926 0.7500  5 N 2.66-2.89
Sr6 0.9074 0.6361 0.7500  5 N 2.66-2.89
Rh1 0.3333 0.6667 0.7500  3 N 1.92
Rh2 0.6667 0.3333 0.2500  3 N 1.92
N1 0.1053 0.4028 0.7500  1 Rh 1.92
N2 0.2975 0.8947 0.7500  1 Rh 1.92
N3 0.4028 0.2975 0.2500  1 Rh 1.92
N4 0.5972 0.7025 0.7500  1 Rh 1.92
N5 0.7025 0.1053 0.2500  1 Rh 1.92
N6 0.8947 0.5972 0.2500  1 Rh 1.92

Calculated values
MP2020-corrected energy: -5.96 eV per atom
VASP energy: -81.299 eV/cell